This record from Materials Project describes a relaxed structure of LiReO2F4. The functional is GGA-PBE.

Output
ΔE_f, eV per atom: -2.613
Maximum piezoelectric response, C/m2: 0.1
Electronic total energy, hartree per atom: -0.2278

```
data_LiReO2F4
_chemical_formula_sum 'Li2 Re2 O4 F8'
_cell_length_a 4.8391
_cell_length_b 4.8391
_cell_length_c 9.0625
_cell_angle_alpha 90.00
_cell_angle_beta 90.00
_cell_angle_gamma 90.00
_space_group_name_H-M_alt 'P -4 21 m'
_space_group_IT_number 113
loop_
_space_group_symop_operation_xyz
'x,y,z'
'y,-x,-z'
'-x,-y,z'
'-y,x,-z'
'x+1/2,-y+1/2,-z'
'y+1/2,x+1/2,z'
'-x+1/2,y+1/2,-z'
'-y+1/2,-x+1/2,z'
loop_
_atom_site_label
_atom_site_fract_x
_atom_site_fract_y
_atom_site_fract_z
Li1 0.0000 0.5000 0.0818
Re1 0.0000 0.5000 0.7255
O1 0.1947 0.6947 0.6071
F1 0.1846 0.6846 0.9043
F2 0.2255 0.7255 0.2395
```